This record from Materials Project describes crystalline Li3VP2O8 at its relaxed geometry. The functional is GGA+U.

Summary:
ΔH_f (0 K): -2.664 eV per atom
space group: No. 29
magnetic moment: 2.0 μB per formula unit
crystal system: orthorhombic
energy relative to the lowest polymorph listed for this composition: 45 meV per atom

Unit cell a=12.315 b=5.068 c=18.010 alpha=90.00 beta=90.00 gamma=90.00
Element x y z (fractional)
Li (0.033, 0.047, 0.000)
Li (0.039, 0.433, 0.740)
Li (0.108, 0.960, 0.665)
Li (0.147, 0.447, 0.929)
Li (0.208, 0.914, 0.852)
Li (0.215, 0.538, 0.598)
Li (0.285, 0.538, 0.098)
Li (0.292, 0.914, 0.352)
Li (0.353, 0.447, 0.429)
Li (0.392, 0.960, 0.165)
Li (0.461, 0.433, 0.240)
Li (0.467, 0.047, 0.500)
Li (0.533, 0.953, 0.000)
Li (0.539, 0.567, 0.740)
Li (0.608, 0.040, 0.665)
Li (0.647, 0.553, 0.929)
Li (0.708, 0.086, 0.852)
Li (0.715, 0.462, 0.598)
Li (0.785, 0.462, 0.098)
Li (0.792, 0.086, 0.352)
Li (0.853, 0.553, 0.429)
Li (0.892, 0.040, 0.165)
Li (0.961, 0.567, 0.240)
Li (0.967, 0.953, 0.500)
V (0.098, 0.412, 0.416)
V (0.152, 0.070, 0.172)
V (0.348, 0.070, 0.672)
V (0.402, 0.412, 0.916)
V (0.598, 0.588, 0.416)
V (0.652, 0.930, 0.172)
V (0.848, 0.930, 0.672)
V (0.902, 0.588, 0.916)
P (0.032, 0.543, 0.083)
P (0.033, 0.981, 0.329)
P (0.219, 0.502, 0.260)
P (0.222, 0.946, 0.505)
P (0.278, 0.946, 0.005)
P (0.281, 0.502, 0.760)
P (0.467, 0.981, 0.829)
P (0.468, 0.543, 0.583)
P (0.532, 0.457, 0.083)
P (0.533, 0.019, 0.329)
P (0.719, 0.498, 0.260)
P (0.722, 0.054, 0.505)
P (0.778, 0.054, 0.005)
P (0.781, 0.498, 0.760)
P (0.967, 0.019, 0.829)
P (0.968, 0.457, 0.583)
O (0.005, 0.709, 0.364)
O (0.016, 0.497, 0.997)
O (0.019, 0.947, 0.243)
O (0.043, 0.802, 0.861)
O (0.045, 0.844, 0.100)
O (0.063, 0.573, 0.628)
O (0.104, 0.407, 0.239)
O (0.116, 0.102, 0.491)
O (0.137, 0.386, 0.099)
O (0.147, 0.075, 0.351)
O (0.182, 0.065, 0.962)
O (0.206, 0.290, 0.723)
O (0.208, 0.645, 0.486)
O (0.235, 0.529, 0.345)
O (0.236, 0.953, 0.592)
O (0.246, 0.777, 0.227)
O (0.254, 0.777, 0.727)
O (0.264, 0.953, 0.092)
O (0.265, 0.529, 0.845)
O (0.292, 0.645, 0.986)
O (0.294, 0.290, 0.223)
O (0.318, 0.065, 0.462)
O (0.353, 0.075, 0.851)
O (0.363, 0.386, 0.599)
O (0.384, 0.102, 0.991)
O (0.396, 0.407, 0.739)
O (0.437, 0.573, 0.128)
O (0.455, 0.844, 0.600)
O (0.457, 0.802, 0.361)
O (0.481, 0.947, 0.743)
O (0.484, 0.497, 0.497)
O (0.495, 0.709, 0.864)
O (0.505, 0.291, 0.364)
O (0.516, 0.503, 0.997)
O (0.519, 0.053, 0.243)
O (0.543, 0.198, 0.861)
O (0.545, 0.156, 0.100)
O (0.563, 0.427, 0.628)
O (0.604, 0.593, 0.239)
O (0.616, 0.898, 0.491)
O (0.637, 0.614, 0.099)
O (0.647, 0.925, 0.351)
O (0.682, 0.935, 0.962)
O (0.706, 0.710, 0.723)
O (0.708, 0.355, 0.486)
O (0.735, 0.471, 0.345)
O (0.736, 0.047, 0.592)
O (0.746, 0.223, 0.227)
O (0.754, 0.223, 0.727)
O (0.764, 0.047, 0.092)
O (0.765, 0.471, 0.845)
O (0.792, 0.355, 0.986)
O (0.794, 0.710, 0.223)
O (0.818, 0.935, 0.462)
O (0.853, 0.925, 0.851)
O (0.863, 0.614, 0.599)
O (0.884, 0.898, 0.991)
O (0.896, 0.593, 0.739)
O (0.937, 0.427, 0.128)
O (0.955, 0.156, 0.600)
O (0.957, 0.198, 0.361)
O (0.981, 0.053, 0.743)
O (0.984, 0.503, 0.497)
O (0.995, 0.291, 0.864)

This record from Materials Project describes crystalline LiVP2O7 at its relaxed geometry. The functional is GGA+U.

Summary:
ΔH_f (0 K): -2.691 eV per atom
space group: No. 1
magnetic moment: 0.1 μB per formula unit
crystal system: triclinic

Unit cell a=5.051 b=6.820 c=8.309 alpha=67.95 beta=87.64 gamma=87.65
Element x y z (fractional)
Li (0.000, 0.000, 0.000)
Li (0.492, 0.354, 0.432)
V (0.471, 0.964, 0.271)
V (0.954, 0.395, 0.726)
P (0.432, 0.714, 0.688)
P (0.482, 0.058, 0.828)
P (0.948, 0.286, 0.171)
P (0.995, 0.626, 0.304)
O (0.001, 0.523, 0.158)
O (0.142, 0.133, 0.298)
O (0.144, 0.661, 0.675)
O (0.286, 0.663, 0.328)
O (0.307, 0.222, 0.690)
O (0.395, 0.023, 0.015)
O (0.429, 0.827, 0.828)
O (0.548, 0.875, 0.519)
O (0.609, 0.517, 0.768)
O (0.656, 0.244, 0.234)
O (0.779, 0.102, 0.791)
O (0.833, 0.832, 0.220)
O (0.860, 0.467, 0.468)
O (0.999, 0.294, 0.987)

This record from Materials Project describes crystalline Li5V3P8O29 at its relaxed geometry. The functional is GGA+U.

Summary:
ΔH_f (0 K): -2.616 eV per atom
space group: No. 1
magnetic moment: 2.0 μB per formula unit
crystal system: triclinic
energy relative to the lowest polymorph listed for this composition: 5 meV per atom

Unit cell a=9.748 b=9.780 c=14.008 alpha=89.98 beta=89.93 gamma=60.14
Element x y z (fractional)
Li (0.000, 0.000, 0.000)
Li (0.001, 0.137, 0.500)
Li (0.096, 0.245, 0.119)
Li (0.100, 0.799, 0.617)
Li (0.235, 0.241, 0.619)
Li (0.335, 0.905, 0.061)
Li (0.382, 0.839, 0.565)
Li (0.568, 0.568, 0.000)
Li (0.570, 0.000, 0.501)
Li (0.664, 0.811, 0.119)
V (0.332, 0.474, 0.308)
V (0.333, 0.342, 0.815)
V (0.763, 0.475, 0.804)
V (0.767, 0.906, 0.307)
V (0.895, 0.343, 0.315)
V (0.898, 0.904, 0.811)
P (0.000, 0.569, 0.190)
P (0.003, 0.570, 0.691)
P (0.018, 0.132, 0.717)
P (0.019, 0.997, 0.217)
P (0.104, 0.220, 0.900)
P (0.108, 0.817, 0.399)
P (0.248, 0.220, 0.404)
P (0.249, 0.683, 0.904)
P (0.414, 0.130, 0.217)
P (0.414, 0.597, 0.717)
P (0.555, 0.995, 0.719)
P (0.558, 0.593, 0.218)
P (0.639, 0.685, 0.402)
P (0.644, 0.818, 0.902)
P (0.662, 0.236, 0.430)
P (0.667, 0.241, 0.930)
O (0.006, 0.418, 0.231)
O (0.008, 0.565, 0.083)
O (0.013, 0.717, 0.729)
O (0.019, 0.555, 0.585)
O (0.077, 0.822, 0.903)
O (0.079, 0.243, 0.404)
O (0.102, 0.925, 0.126)
O (0.106, 0.130, 0.628)
O (0.110, 0.131, 0.989)
O (0.112, 0.900, 0.489)
O (0.128, 0.108, 0.809)
O (0.129, 0.907, 0.308)
O (0.144, 0.574, 0.238)
O (0.149, 0.418, 0.737)
O (0.245, 0.250, 0.896)
O (0.245, 0.377, 0.387)
O (0.250, 0.524, 0.891)
O (0.250, 0.648, 0.394)
O (0.321, 0.118, 0.136)
O (0.327, 0.695, 0.632)
O (0.330, 0.704, 0.810)
O (0.334, 0.138, 0.495)
O (0.340, 0.106, 0.316)
O (0.340, 0.690, 0.988)
O (0.409, 0.443, 0.730)
O (0.411, 0.167, 0.726)
O (0.411, 0.289, 0.228)
O (0.415, 0.566, 0.225)
O (0.519, 0.382, 0.379)
O (0.520, 0.239, 0.881)
O (0.535, 0.907, 0.811)
O (0.539, 0.707, 0.306)
O (0.540, 0.923, 0.628)
O (0.543, 0.698, 0.486)
O (0.551, 0.681, 0.127)
O (0.560, 0.893, 0.993)
O (0.586, 0.989, 0.217)
O (0.587, 0.561, 0.721)
O (0.655, 0.238, 0.536)
O (0.656, 0.090, 0.389)
O (0.658, 0.395, 0.891)
O (0.661, 0.240, 0.036)
O (0.671, 0.648, 0.897)
O (0.676, 0.822, 0.398)
O (0.711, 0.995, 0.731)
O (0.712, 0.438, 0.231)
O (0.795, 0.524, 0.391)
O (0.802, 0.818, 0.888)
O (0.819, 0.229, 0.393)
O (0.821, 0.094, 0.890)
O (0.844, 0.717, 0.227)
O (0.853, 0.580, 0.735)
O (0.861, 0.284, 0.730)
O (0.862, 0.995, 0.231)
O (0.946, 0.373, 0.887)
O (0.952, 0.816, 0.387)
O (0.988, 0.168, 0.225)
O (0.995, 0.986, 0.719)

This record from Materials Project describes crystalline Li6V5P8O28 at its relaxed geometry. The functional is GGA+U.

Summary:
ΔH_f (0 K): -2.620 eV per atom
space group: No. 2
magnetic moment: 15.0 μB per formula unit
crystal system: triclinic

Unit cell a=9.182 b=10.525 c=13.205 alpha=87.86 beta=73.77 gamma=66.18
Element x y z (fractional)
Li (0.000, 0.000, 0.000)
Li (0.000, 0.000, 0.500)
Li (0.323, 0.511, 0.278)
Li (0.379, 0.091, 0.828)
Li (0.389, 0.095, 0.321)
Li (0.392, 0.639, 0.556)
Li (0.416, 0.628, 0.061)
Li (0.584, 0.372, 0.939)
Li (0.608, 0.361, 0.444)
Li (0.611, 0.905, 0.679)
Li (0.621, 0.909, 0.172)
Li (0.677, 0.489, 0.722)
V (0.001, 0.741, 0.432)
V (0.009, 0.257, 0.066)
V (0.304, 0.490, 0.759)
V (0.398, 0.222, 0.111)
V (0.399, 0.218, 0.608)
V (0.601, 0.782, 0.392)
V (0.602, 0.778, 0.889)
V (0.696, 0.510, 0.241)
V (0.991, 0.743, 0.934)
V (0.999, 0.259, 0.568)
P (0.037, 0.306, 0.317)
P (0.051, 0.308, 0.813)
P (0.210, 0.460, 0.530)
P (0.215, 0.461, 0.028)
P (0.298, 0.949, 0.601)
P (0.306, 0.945, 0.099)
P (0.308, 0.803, 0.789)
P (0.321, 0.805, 0.290)
P (0.679, 0.195, 0.710)
P (0.692, 0.197, 0.211)
P (0.694, 0.055, 0.901)
P (0.702, 0.051, 0.399)
P (0.785, 0.539, 0.972)
P (0.790, 0.540, 0.470)
P (0.949, 0.692, 0.187)
P (0.963, 0.694, 0.683)
O (0.006, 0.212, 0.403)
O (0.037, 0.538, 0.619)
O (0.044, 0.689, 0.265)
O (0.047, 0.540, 0.118)
O (0.062, 0.199, 0.894)
O (0.063, 0.667, 0.764)
O (0.161, 0.044, 0.556)
O (0.164, 0.042, 0.060)
O (0.179, 0.821, 0.894)
O (0.189, 0.818, 0.393)
O (0.205, 0.539, 0.928)
O (0.209, 0.902, 0.711)
O (0.213, 0.538, 0.431)
O (0.221, 0.272, 0.267)
O (0.221, 0.896, 0.210)
O (0.222, 0.312, 0.517)
O (0.224, 0.313, 0.018)
O (0.225, 0.310, 0.762)
O (0.354, 0.455, 0.576)
O (0.363, 0.455, 0.066)
O (0.400, 0.651, 0.735)
O (0.404, 0.018, 0.625)
O (0.409, 0.811, 0.533)
O (0.411, 0.807, 0.030)
O (0.416, 0.013, 0.121)
O (0.427, 0.651, 0.239)
O (0.434, 0.862, 0.797)
O (0.435, 0.875, 0.300)
O (0.565, 0.125, 0.700)
O (0.566, 0.138, 0.203)
O (0.573, 0.349, 0.761)
O (0.584, 0.987, 0.879)
O (0.589, 0.193, 0.970)
O (0.591, 0.189, 0.467)
O (0.596, 0.982, 0.375)
O (0.600, 0.349, 0.265)
O (0.637, 0.545, 0.934)
O (0.646, 0.545, 0.424)
O (0.775, 0.690, 0.238)
O (0.776, 0.687, 0.982)
O (0.778, 0.688, 0.483)
O (0.779, 0.104, 0.790)
O (0.779, 0.728, 0.733)
O (0.787, 0.462, 0.569)
O (0.791, 0.098, 0.289)
O (0.795, 0.461, 0.072)
O (0.811, 0.182, 0.607)
O (0.821, 0.179, 0.106)
O (0.836, 0.958, 0.940)
O (0.839, 0.956, 0.444)
O (0.937, 0.333, 0.236)
O (0.938, 0.801, 0.106)
O (0.953, 0.460, 0.882)
O (0.956, 0.311, 0.735)
O (0.963, 0.462, 0.381)
O (0.994, 0.788, 0.597)

This record from Materials Project describes crystalline Li2VP2O8 at its relaxed geometry. The functional is GGA+U.

Summary:
ΔH_f (0 K): -2.659 eV per atom
magnetic moment: 0.0 μB per formula unit
energy relative to the lowest polymorph listed for this composition: 0 meV per atom

Unit cell a=5.098 b=10.888 c=10.889 alpha=89.01 beta=87.21 gamma=92.79
Element x y z (fractional)
Li (0.391, 0.270, 0.361)
Li (0.109, 0.361, 0.770)
Li (0.609, 0.730, 0.639)
Li (0.109, 0.861, 0.270)
Li (0.391, 0.770, 0.861)
Li (0.609, 0.230, 0.139)
Li (0.891, 0.139, 0.730)
Li (0.891, 0.639, 0.230)
O (0.929, 0.793, 0.143)
O (0.690, 0.040, 0.602)
O (0.071, 0.207, 0.857)
O (0.929, 0.293, 0.643)
O (0.702, 0.859, 0.956)
O (0.310, 0.460, 0.898)
O (0.310, 0.960, 0.398)
O (0.190, 0.898, 0.960)
O (0.298, 0.141, 0.044)
O (0.810, 0.602, 0.540)
O (0.027, 0.682, 0.944)
O (0.473, 0.944, 0.182)
O (0.798, 0.456, 0.859)
O (0.571, 0.643, 0.793)
O (0.972, 0.318, 0.056)
O (0.690, 0.540, 0.102)
O (0.973, 0.818, 0.556)
O (0.429, 0.357, 0.207)
O (0.429, 0.857, 0.707)
O (0.298, 0.641, 0.544)
O (0.571, 0.143, 0.293)
O (0.810, 0.102, 0.040)
O (0.527, 0.056, 0.818)
O (0.702, 0.359, 0.456)
O (0.071, 0.707, 0.357)
O (0.190, 0.398, 0.460)
O (0.202, 0.044, 0.641)
O (0.202, 0.544, 0.141)
O (0.027, 0.181, 0.444)
O (0.527, 0.556, 0.318)
O (0.798, 0.956, 0.359)
O (0.473, 0.444, 0.682)
V (0.500, 0.500, 0.500)
V (0.500, 0.000, 0.000)
V (0.000, 0.000, 0.500)
V (0.000, 0.500, 0.000)
P (0.960, 0.805, 0.006)
P (0.541, 0.006, 0.305)
P (0.041, 0.695, 0.494)
P (0.960, 0.305, 0.506)
P (0.459, 0.494, 0.195)
P (0.460, 0.994, 0.695)
P (0.540, 0.506, 0.805)
P (0.041, 0.195, 0.994)